(1)
GGA-PBE Lu2MgCd, optimized geometry; symmetry = No. 225; uncorrected energy = -3.058 eV per atom
1.0
0.000 3.695 3.695
3.695 0.000 3.695
3.695 3.695 0.000
Lu Mg Cd
2 1 1
direct
0.250 0.250 0.250
0.750 0.750 0.750
0.000 0.000 0.000
0.500 0.500 0.500

(2)
GGA-PBE KZrSnSbO6, optimized geometry; symmetry = No. 216; size of the total moment = 0.00 μB/f.u.; uncorrected energy = -6.721 eV per atom
1.0
0.000 4.107 4.107
4.107 0.000 4.107
4.107 4.107 0.000
K Zr Sn Sb O
1 1 1 1 6
direct
0.000 0.000 0.000
0.750 0.750 0.750
0.500 0.500 0.500
0.250 0.250 0.250
0.006 0.006 0.494
0.006 0.494 0.006
0.006 0.494 0.494
0.494 0.006 0.006
0.494 0.006 0.494
0.494 0.494 0.006

(3)
GGA-PBE CaSn4S9, optimized geometry; symmetry = No. 59; polymorph energy (0 for the lowest one) = 0.00 kJ per mole of atoms; size of the total moment = 0.00 μB/f.u.
1.0
3.870 0.000 0.000
0.000 22.276 0.000
0.000 0.000 9.861
Ca Sn S
2 8 18
direct
0.250 0.250 0.085
0.750 0.750 0.915
0.250 0.598 0.680
0.250 0.650 0.272
0.250 0.850 0.272
0.250 0.902 0.680
0.750 0.098 0.320
0.750 0.150 0.728
0.750 0.350 0.728
0.750 0.402 0.320
0.250 0.031 0.334
0.250 0.098 0.821
0.250 0.402 0.821
0.250 0.469 0.334
0.250 0.662 0.873
0.250 0.678 0.507
0.250 0.750 0.151
0.250 0.822 0.507
0.250 0.838 0.873
0.750 0.162 0.127
0.750 0.178 0.493
0.750 0.250 0.849
0.750 0.322 0.493
0.750 0.338 0.127
0.750 0.531 0.666
0.750 0.598 0.179
0.750 0.902 0.179
0.750 0.969 0.666

(4)
GGA-PBE As2Ru, optimized geometry; symmetry = No. 58; uncorrected energy = -6.595 eV per atom
1.0
5.492 0.000 0.000
0.000 6.250 0.000
0.000 0.000 3.015
As Ru
4 2
direct
0.171 0.135 0.000
0.329 0.635 0.500
0.671 0.365 0.500
0.829 0.865 0.000
0.000 0.500 0.000
0.500 0.000 0.500

(5)
GGA-PBE Sb2Ir, optimized geometry; symmetry = No. 14; uncorrected energy = -6.080 eV per atom
1.0
6.694 0.000 0.000
0.000 6.640 0.000
-2.864 0.000 6.162
Sb Ir
8 4
direct
0.149 0.135 0.379
0.149 0.365 0.879
0.345 0.637 0.679
0.345 0.863 0.179
0.655 0.137 0.821
0.655 0.363 0.321
0.851 0.635 0.121
0.851 0.865 0.621
0.272 0.001 0.791
0.272 0.499 0.291
0.728 0.501 0.709
0.728 0.999 0.209

(6)
GGA-PBE NdTa3O9, optimized geometry; symmetry = No. 2; polymorph energy (0 for the lowest one) = 1.15 kJ per mole of atoms; size of the total moment = 0.00 μB/f.u.
1.0
5.574 0.000 0.000
-0.034 9.691 0.000
-0.067 -0.073 13.683
Nd Ta O
4 12 36
direct
0.237 0.421 0.421
0.241 0.085 0.084
0.759 0.915 0.916
0.763 0.579 0.579
0.249 0.083 0.827
0.249 0.413 0.674
0.250 0.738 0.001
0.250 0.763 0.498
0.252 0.084 0.334
0.252 0.420 0.166
0.748 0.580 0.834
0.748 0.916 0.666
0.750 0.237 0.502
0.750 0.262 0.999
0.751 0.587 0.326
0.751 0.917 0.173
0.000 0.328 0.586
0.000 0.672 0.414
0.001 0.849 0.075
0.008 0.340 0.076
0.008 0.987 0.253
0.010 0.182 0.415
0.011 0.491 0.260
0.204 0.567 0.567
0.210 0.913 0.913
0.226 0.237 0.237
0.277 0.259 0.760
0.278 0.591 0.094
0.279 0.927 0.424
0.487 0.006 0.240
0.487 0.317 0.084
0.489 0.200 0.407
0.489 0.476 0.269
0.499 0.869 0.065
0.500 0.355 0.572
0.500 0.645 0.428
0.501 0.131 0.935
0.511 0.524 0.731
0.511 0.800 0.593
0.513 0.683 0.916
0.513 0.994 0.760
0.721 0.073 0.576
0.722 0.409 0.906
0.723 0.741 0.240
0.774 0.763 0.763
0.790 0.087 0.087
0.796 0.433 0.433
0.989 0.509 0.740
0.990 0.818 0.585
0.992 0.013 0.747
0.992 0.660 0.924
0.999 0.151 0.925